The following is a GGA-PBE calculation of crystalline InGa3O6 at its relaxed geometry, from the Materials Project.

a = 6.5030 Å, b = 6.5030 Å, c = 6.1293 Å
α = 104.54°, β = 104.54°, γ = 28.20°
Element x y z (fractional)
1 In 0.0000 0.0000 0.0000
2 Ga 0.2444 0.2444 0.8875
3 Ga 0.5659 0.5659 0.5191
4 Ga 0.8127 0.8127 0.4087
5 O 0.0716 0.0716 0.3353
6 O 0.0841 0.0841 0.7543
7 O 0.3969 0.3969 0.9387
8 O 0.3994 0.3994 0.4589
9 O 0.7323 0.7323 0.6360
10 O 0.7388 0.7388 0.0944

Spin magnetization   0.0 μB per formula unit
Space group   Cm, No. 8
Crystal system   monoclinic
Total energy after the MP2020 corrections   -6.255 eV/atom
VASP energy   -5.84 eV/atom

The following is a GGA-PBE calculation of crystalline CaSn2O4 at its relaxed geometry, from the Materials Project.

a = 11.4513 Å, b = 3.2369 Å, c = 10.8582 Å
α = 90.00°, β = 90.00°, γ = 90.00°
Element x y z (fractional)
1 Ca 0.1431 0.2375 0.0000
2 Ca 0.3569 0.2375 0.5000
3 Ca 0.6431 0.7625 0.0000
4 Ca 0.8569 0.7625 0.5000
5 Sn 0.1094 0.7396 0.3311
6 Sn 0.1199 0.7461 0.6774
7 Sn 0.3801 0.7461 0.1774
8 Sn 0.3906 0.7396 0.8311
9 Sn 0.6094 0.2604 0.3311
10 Sn 0.6199 0.2539 0.6774
11 Sn 0.8801 0.2539 0.1774
12 Sn 0.8906 0.2604 0.8311
13 O 0.0007 0.7557 0.1252
14 O 0.0423 0.7450 0.8587
15 O 0.2123 0.7394 0.5133
16 O 0.2224 0.2453 0.7392
17 O 0.2776 0.2453 0.2392
18 O 0.2877 0.7394 0.0133
19 O 0.4577 0.7450 0.3587
20 O 0.4993 0.7557 0.6252
21 O 0.5007 0.2443 0.1252
22 O 0.5423 0.2550 0.8587
23 O 0.7123 0.2606 0.5133
24 O 0.7224 0.7547 0.7392
25 O 0.7776 0.7547 0.2392
26 O 0.7877 0.2606 0.0133
27 O 0.9577 0.2550 0.3587
28 O 0.9993 0.2443 0.6252

Spin magnetization   0.0 μB per formula unit
Space group   Pca2_1, No. 29
Crystal system   orthorhombic
Total energy after the MP2020 corrections   -6.459 eV/atom
VASP energy   -6.07 eV/atom

The following is a GGA-PBE calculation of crystalline Tl3Si at its relaxed geometry, from the Materials Project.

a = 4.7837 Å, b = 4.7837 Å, c = 4.7837 Å
α = 90.00°, β = 90.00°, γ = 90.00°
Element x y z (fractional)
1 Tl 0.0000 0.0000 0.5000
2 Tl 0.0000 0.5000 0.0000
3 Tl 0.5000 0.0000 0.0000
4 Si 0.5000 0.5000 0.5000

Spin magnetization   0.0 μB per formula unit
Space group   Pm-3m, No. 221
Crystal system   cubic
Total energy after the MP2020 corrections   -2.748 eV/atom
VASP energy   -2.77 eV/atom

The following is a GGA-PBE calculation of crystalline Co12Ge4C at its relaxed geometry, from the Materials Project.

a = 3.6541 Å, b = 3.6541 Å, c = 14.1372 Å
α = 90.00°, β = 90.00°, γ = 90.00°
Element x y z (fractional)
1 Co 0.0000 0.0000 0.1225
2 Co 0.0000 0.0000 0.3687
3 Co 0.0000 0.0000 0.6313
4 Co 0.0000 0.0000 0.8775
5 Co 0.0000 0.5000 0.0000
6 Co 0.0000 0.5000 0.2445
7 Co 0.0000 0.5000 0.5000
8 Co 0.0000 0.5000 0.7555
9 Co 0.5000 0.0000 0.0000
10 Co 0.5000 0.0000 0.2445
11 Co 0.5000 0.0000 0.5000
12 Co 0.5000 0.0000 0.7555
13 Ge 0.5000 0.5000 0.1211
14 Ge 0.5000 0.5000 0.3632
15 Ge 0.5000 0.5000 0.6368
16 Ge 0.5000 0.5000 0.8789
17 C 0.0000 0.0000 0.5000

Spin magnetization   5.1 μB per formula unit
Space group   P4/mmm, No. 123
Crystal system   tetragonal
VASP energy   -6.68 eV/atom

The following is a GGA-PBE calculation of crystalline Ba2EuNbO6 at its relaxed geometry, from the Materials Project.

a = 6.1147 Å, b = 6.1147 Å, c = 6.1147 Å
α = 120.45°, β = 120.45°, γ = 89.22°
Element x y z (fractional)
1 Ba 0.2500 0.7500 0.5000
2 Ba 0.7500 0.2500 0.5000
3 Eu 0.0000 0.0000 0.0000
4 Nb 0.5000 0.5000 0.0000
5 O 0.2257 0.3090 0.5347
6 O 0.2667 0.2667 0.0000
7 O 0.3090 0.7743 0.0833
8 O 0.6910 0.2257 0.9167
9 O 0.7333 0.7333 0.0000
10 O 0.7743 0.6910 0.4653

Spin magnetization   6.0 μB per formula unit
Space group   I4/m, No. 87
Crystal system   tetragonal
Total energy after the MP2020 corrections   -8.611 eV/atom
VASP energy   -8.20 eV/atom

The following is a GGA-PBE calculation of crystalline Tb2S2O at its relaxed geometry, from the Materials Project.

a = 8.3181 Å, b = 6.9644 Å, c = 6.9151 Å
α = 90.00°, β = 99.36°, γ = 90.00°
Element x y z (fractional)
1 Tb 0.0767 0.1418 0.3195
2 Tb 0.0767 0.3582 0.8195
3 Tb 0.3627 0.5540 0.2498
4 Tb 0.3627 0.9460 0.7498
5 Tb 0.6373 0.0540 0.2502
6 Tb 0.6373 0.4460 0.7502
7 Tb 0.9233 0.6418 0.1805
8 Tb 0.9233 0.8582 0.6805
9 S 0.1806 0.6358 0.5738
10 S 0.1806 0.8642 0.0738
11 S 0.4232 0.2227 0.4701
12 S 0.4232 0.2773 0.9701
13 S 0.5768 0.7227 0.0299
14 S 0.5768 0.7773 0.5299
15 S 0.8194 0.1358 0.9262
16 S 0.8194 0.3642 0.4262
17 O 0.1171 0.0875 0.6495
18 O 0.1171 0.4125 0.1495
19 O 0.8829 0.5875 0.8505
20 O 0.8829 0.9125 0.3505

Space group   P2_1/c, No. 14
Crystal system   monoclinic
Total energy after the MP2020 corrections   -7.466 eV/atom
VASP energy   -7.13 eV/atom

The following is a GGA-PBE calculation of crystalline K5YO4 at its relaxed geometry, from the Materials Project.

a = 11.9847 Å, b = 12.4272 Å, c = 12.2773 Å
α = 90.00°, β = 90.00°, γ = 90.00°
Element x y z (fractional)
1 K 0.0891 0.1470 0.1272
2 K 0.0891 0.3530 0.6272
3 K 0.0966 0.6630 0.8796
4 K 0.0966 0.8370 0.3796
5 K 0.1349 0.6214 0.1527
6 K 0.1349 0.8786 0.6527
7 K 0.1460 0.1000 0.3862
8 K 0.1460 0.4000 0.8862
9 K 0.1695 0.6135 0.6059
10 K 0.1695 0.8865 0.1059
11 K 0.3305 0.1135 0.6059
12 K 0.3305 0.3865 0.1059
13 K 0.3540 0.6000 0.3862
14 K 0.3540 0.9000 0.8862
15 K 0.3650 0.1214 0.1527
16 K 0.3650 0.3786 0.6527
17 K 0.4034 0.1630 0.8796
18 K 0.4034 0.3370 0.3796
19 K 0.4109 0.6470 0.1272
20 K 0.4109 0.8530 0.6272
21 K 0.5891 0.1470 0.3728
22 K 0.5891 0.3530 0.8728
23 K 0.5966 0.6630 0.6204
24 K 0.5966 0.8370 0.1204
25 K 0.6350 0.6214 0.3473
26 K 0.6350 0.8786 0.8473
27 K 0.6460 0.1000 0.1138
28 K 0.6460 0.4000 0.6138
29 K 0.6695 0.6135 0.8941
30 K 0.6695 0.8865 0.3941
31 K 0.8305 0.1135 0.8941
32 K 0.8305 0.3865 0.3941
33 K 0.8540 0.6000 0.1138
34 K 0.8540 0.9000 0.6138
35 K 0.8650 0.1214 0.3473
36 K 0.8650 0.3786 0.8473
37 K 0.9034 0.1630 0.6204
38 K 0.9034 0.3370 0.1204
39 K 0.9109 0.6470 0.3728
40 K 0.9109 0.8530 0.8728
41 Y 0.1163 0.1262 0.8546
42 Y 0.1163 0.3738 0.3546
43 Y 0.3837 0.6262 0.8546
44 Y 0.3837 0.8738 0.3546
45 Y 0.6163 0.1262 0.6454
46 Y 0.6163 0.3738 0.1454
47 Y 0.8837 0.6262 0.6454
48 Y 0.8837 0.8738 0.1454
49 O 0.0043 0.0204 0.7603
50 O 0.0043 0.4796 0.2603
51 O 0.0085 0.2367 0.9438
52 O 0.0085 0.2633 0.4438
53 O 0.2228 0.2328 0.7595
54 O 0.2228 0.2672 0.2595
55 O 0.2288 0.0545 0.9759
56 O 0.2288 0.4455 0.4759
57 O 0.2712 0.5545 0.9759
58 O 0.2712 0.9455 0.4759
59 O 0.2772 0.7328 0.7595
60 O 0.2772 0.7672 0.2595
61 O 0.4915 0.7367 0.9438
62 O 0.4915 0.7633 0.4438
63 O 0.4957 0.5204 0.7603
64 O 0.4957 0.9796 0.2603
65 O 0.5043 0.0204 0.7397
66 O 0.5043 0.4796 0.2397
67 O 0.5085 0.2367 0.5562
68 O 0.5085 0.2633 0.0562
69 O 0.7228 0.2328 0.7405
70 O 0.7228 0.2672 0.2405
71 O 0.7288 0.0545 0.5241
72 O 0.7288 0.4455 0.0241
73 O 0.7712 0.5545 0.5241
74 O 0.7712 0.9455 0.0241
75 O 0.7772 0.7328 0.7405
76 O 0.7772 0.7672 0.2405
77 O 0.9915 0.7367 0.5562
78 O 0.9915 0.7633 0.0562
79 O 0.9957 0.5204 0.7397
80 O 0.9957 0.9796 0.2397

Space group   Pbca, No. 61
Crystal system   orthorhombic
Total energy after the MP2020 corrections   -5.168 eV/atom
VASP energy   -4.89 eV/atom

The following is a GGA-PBE calculation of crystalline Sm3Ge13Pt4 at its relaxed geometry, from the Materials Project.

a = 9.1535 Å, b = 9.1535 Å, c = 9.2129 Å
α = 90.39°, β = 90.39°, γ = 89.92°
Element x y z (fractional)
1 Sm 0.9997 0.0003 0.0000
2 Sm 0.0003 0.9997 0.5000
3 Sm 0.2529 0.5002 0.2448
4 Sm 0.5002 0.2529 0.7448
5 Sm 0.4996 0.7432 0.7490
6 Sm 0.7432 0.4996 0.2490
7 Ge 0.0045 0.6151 0.4813
8 Ge 0.1128 0.2508 0.7456
9 Ge 0.1232 0.7784 0.7472
10 Ge 0.1558 0.8332 0.2488
11 Ge 0.2508 0.1128 0.2456
12 Ge 0.3258 0.4970 0.6010
13 Ge 0.3293 0.9991 0.8955
14 Ge 0.3310 0.4988 0.9048
15 Ge 0.3328 0.9995 0.5956
16 Ge 0.4964 0.7369 0.1360
17 Ge 0.4970 0.3258 0.1010
18 Ge 0.4988 0.3310 0.4048
19 Ge 0.5034 0.9946 0.2470
20 Ge 0.5046 0.6535 0.4146
21 Ge 0.6145 0.9957 0.5064
22 Ge 0.6151 0.0045 0.9813
23 Ge 0.6535 0.5046 0.9146
24 Ge 0.7369 0.4964 0.6360
25 Ge 0.7784 0.1232 0.2472
26 Ge 0.8288 0.8509 0.7527
27 Ge 0.8332 0.1558 0.7488
28 Ge 0.8509 0.8288 0.2527
29 Ge 0.9946 0.5034 0.7470
30 Ge 0.9957 0.6145 0.0064
31 Ge 0.9991 0.3293 0.3955
32 Ge 0.9995 0.3328 0.0956
33 Pt 0.2450 0.2464 0.4952
34 Pt 0.2464 0.2450 0.9952
35 Pt 0.2500 0.7483 0.9981
36 Pt 0.2515 0.7490 0.4987
37 Pt 0.7483 0.2500 0.4981
38 Pt 0.7490 0.2515 0.9987
39 Pt 0.7492 0.7539 0.0039
40 Pt 0.7539 0.7492 0.5039

Spin magnetization   0.0 μB per formula unit
Space group   Cc, No. 9
Crystal system   monoclinic
VASP energy   -5.45 eV/atom

The following is a GGA-PBE calculation of crystalline AsSXe2O3F9 at its relaxed geometry, from the Materials Project.

a = 11.4651 Å, b = 9.0462 Å, c = 16.3772 Å
α = 90.00°, β = 133.10°, γ = 90.00°
Element x y z (fractional)
1 As 0.2447 0.1883 0.4377
2 As 0.2447 0.3117 0.9377
3 As 0.7553 0.6883 0.0623
4 As 0.7553 0.8117 0.5623
5 S 0.3242 0.5934 0.2315
6 S 0.3242 0.9066 0.7315
7 S 0.6758 0.0934 0.2685
8 S 0.6758 0.4066 0.7685
9 Xe 0.2398 0.6759 0.3868
10 Xe 0.2398 0.8241 0.8868
11 Xe 0.3300 0.0821 0.2078
12 Xe 0.3300 0.4179 0.7078
13 Xe 0.6700 0.5821 0.2922
14 Xe 0.6700 0.9179 0.7922
15 Xe 0.7602 0.1759 0.1132
16 Xe 0.7602 0.3241 0.6132
17 O 0.2738 0.7116 0.2660
18 O 0.2738 0.7884 0.7660
19 O 0.3788 0.0435 0.7899
20 O 0.3788 0.4565 0.2899
21 O 0.4248 0.6698 0.2171
22 O 0.4248 0.8302 0.7171
23 O 0.5752 0.1698 0.2829
24 O 0.5752 0.3302 0.7829
25 O 0.6212 0.5435 0.7101
26 O 0.6212 0.9565 0.2101
27 O 0.7262 0.2116 0.2340
28 O 0.7262 0.2884 0.7340
29 F 0.1159 0.0149 0.1459
30 F 0.1157 0.0343 0.3646
31 F 0.1157 0.4657 0.8646
32 F 0.1159 0.4851 0.6459
33 F 0.1173 0.2370 0.9525
34 F 0.1173 0.2630 0.4525
35 F 0.1388 0.2143 0.8101
36 F 0.1388 0.2857 0.3101
37 F 0.1658 0.5639 0.1072
38 F 0.1658 0.9361 0.6072
39 F 0.2106 0.6589 0.4947
40 F 0.2106 0.8411 0.9947
41 F 0.3548 0.0932 0.5672
42 F 0.3548 0.4068 0.0672
43 F 0.3751 0.1161 0.4246
44 F 0.3750 0.1560 0.0124
45 F 0.3750 0.3440 0.5124
46 F 0.3751 0.3839 0.9246
47 F 0.6249 0.6161 0.0754
48 F 0.6250 0.6560 0.4876
49 F 0.6250 0.8440 0.9876
50 F 0.6249 0.8839 0.5754
51 F 0.6452 0.5932 0.9328
52 F 0.6452 0.9068 0.4328
53 F 0.7894 0.1589 0.0053
54 F 0.7894 0.3411 0.5053
55 F 0.8342 0.0639 0.3928
56 F 0.8342 0.4361 0.8928
57 F 0.8612 0.7143 0.6899
58 F 0.8612 0.7857 0.1899
59 F 0.8827 0.7370 0.5475
60 F 0.8827 0.7630 0.0475
61 F 0.8841 0.5149 0.3541
62 F 0.8843 0.5343 0.1354
63 F 0.8843 0.9657 0.6354
64 F 0.8841 0.9851 0.8541

Spin magnetization   0.0 μB per formula unit
Space group   P2_1/c, No. 14
Crystal system   monoclinic
Total energy after the MP2020 corrections   -4.201 eV/atom
VASP energy   -3.81 eV/atom

The following is a GGA-PBE calculation of crystalline Li3CeGa8 at its relaxed geometry, from the Materials Project.

a = 4.3434 Å, b = 4.3434 Å, c = 13.8397 Å
α = 90.00°, β = 90.00°, γ = 119.97°
Element x y z (fractional)
1 Li 0.0000 0.0000 0.0000
2 Li 0.0000 0.0000 0.2424
3 Li 0.0000 0.0000 0.7576
4 Ce 0.0000 0.0000 0.5000
5 Ga 0.3324 0.6676 0.3567
6 Ga 0.3324 0.6676 0.6433
7 Ga 0.3335 0.6665 0.1262
8 Ga 0.3335 0.6665 0.8738
9 Ga 0.6665 0.3335 0.1262
10 Ga 0.6665 0.3335 0.8738
11 Ga 0.6676 0.3324 0.3567
12 Ga 0.6676 0.3324 0.6433

Spin magnetization   0.7 μB per formula unit
Space group   Cmmm, No. 65
Crystal system   orthorhombic
VASP energy   -3.33 eV/atom

The following is a GGA-PBE calculation of crystalline TlBiTe2 at its relaxed geometry, from the Materials Project.

a = 8.4326 Å, b = 8.4326 Å, c = 8.4326 Å
α = 31.61°, β = 31.61°, γ = 31.61°
Element x y z (fractional)
1 Tl 0.0000 0.0000 0.0000
2 Bi 0.5000 0.5000 0.5000
3 Te 0.2399 0.2399 0.2399
4 Te 0.7601 0.7601 0.7601

Space group   R-3m, No. 166
Crystal system   trigonal
Total energy after the MP2020 corrections   -3.658 eV/atom
VASP energy   -3.45 eV/atom

The following is a GGA-PBE calculation of crystalline Mg3SiO6 at its relaxed geometry, from the Materials Project.

a = 10.4643 Å, b = 8.9659 Å, c = 4.8026 Å
α = 90.00°, β = 90.00°, γ = 90.00°
Element x y z (fractional)
1 Mg 0.0939 0.2500 0.0005
2 Mg 0.1342 0.5703 0.4878
3 Mg 0.1342 0.9297 0.4878
4 Mg 0.3658 0.0703 0.9878
5 Mg 0.3658 0.4297 0.9878
6 Mg 0.4061 0.7500 0.5005
7 Mg 0.5939 0.2500 0.4995
8 Mg 0.6342 0.5703 0.0122
9 Mg 0.6342 0.9297 0.0122
10 Mg 0.8658 0.0703 0.5122
11 Mg 0.8658 0.4297 0.5122
12 Mg 0.9061 0.7500 0.9995
13 Si 0.2201 0.7500 0.9242
14 Si 0.2799 0.2500 0.4242
15 Si 0.7201 0.7500 0.5758
16 Si 0.7799 0.2500 0.0758
17 O 0.0358 0.0847 0.7318
18 O 0.0358 0.4153 0.7318
19 O 0.0762 0.7500 0.7767
20 O 0.2081 0.1055 0.2742
21 O 0.2081 0.3945 0.2742
22 O 0.2214 0.7500 0.2626
23 O 0.2786 0.2500 0.7626
24 O 0.2919 0.6055 0.7742
25 O 0.2919 0.8945 0.7742
26 O 0.4238 0.2500 0.2767
27 O 0.4642 0.5847 0.2318
28 O 0.4642 0.9153 0.2318
29 O 0.5358 0.0847 0.7682
30 O 0.5358 0.4153 0.7682
31 O 0.5762 0.7500 0.7233
32 O 0.7081 0.1055 0.2258
33 O 0.7081 0.3945 0.2258
34 O 0.7214 0.7500 0.2374
35 O 0.7786 0.2500 0.7374
36 O 0.7919 0.6055 0.7258
37 O 0.7919 0.8945 0.7258
38 O 0.9238 0.2500 0.2233
39 O 0.9642 0.5847 0.2682
40 O 0.9642 0.9153 0.2682

Spin magnetization   2.0 μB per formula unit
Space group   Pnma, No. 62
Crystal system   orthorhombic
Total energy after the MP2020 corrections   -6.702 eV/atom
VASP energy   -6.29 eV/atom

The following is a GGA-PBE calculation of crystalline AlVNi2 at its relaxed geometry, from the Materials Project.

a = 2.6481 Å, b = 2.6481 Å, c = 6.8561 Å
α = 90.00°, β = 90.00°, γ = 90.00°
Element x y z (fractional)
1 Al 0.0000 0.0000 0.0000
2 V 0.0000 0.0000 0.5000
3 Ni 0.5000 0.5000 0.2391
4 Ni 0.5000 0.5000 0.7609

Spin magnetization   0.0 μB per formula unit
Space group   P4/mmm, No. 123
Crystal system   tetragonal
VASP energy   -6.48 eV/atom

Calculated energy of formation from the pure elements, -2.103, -2.199, 0.381, -0.034, -3.222, -2.968, -1.987, -0.526, -1.642, -0.340, -0.523, -2.711, -0.380 eV/atom (same order as the records).